1.
{"formula": "Mg2C3", "functional": "PBE-GGA", "state": "optimized geometry", "spacegroup": "No. 58", "magmom_total_mub_per_cell": 0.0, "final_energy_ev_per_atom": -6.005, "lattice_angstrom": [[-0.054, -0.984, 3.610], [4.042, -3.310, -0.842], [4.161, 4.736, 1.353]], "species": ["Mg", "Mg", "Mg", "Mg", "C", "C", "C", "C", "C", "C"], "frac_coords": [[0.500, 0.892, 0.209], [0.500, 0.108, 0.791], [0.000, 0.392, 0.291], [0.000, 0.608, 0.709], [0.500, 0.707, 0.882], [0.500, 0.293, 0.118], [0.000, 0.207, 0.618], [0.000, 0.793, 0.382], [0.000, 0.000, 0.500], [0.500, 0.500, 0.000]]}

2.
{"formula": "Mg7C", "functional": "PBE-GGA", "state": "optimized geometry", "spacegroup": "No. 187", "magmom_total_mub_per_cell": 0.0, "final_energy_ev_per_atom": -2.007, "lattice_angstrom": [[-2.375, 5.605, -0.226], [0.199, -3.013, 5.290], [4.410, 1.906, 0.919]], "species": ["Mg", "Mg", "Mg", "Mg", "Mg", "Mg", "Mg", "C"], "frac_coords": [[0.499, 0.998, 0.000], [0.499, 0.501, 0.000], [0.002, 0.501, 0.000], [0.321, 0.161, 0.500], [0.839, 0.161, 0.500], [0.839, 0.679, 0.500], [0.333, 0.667, 0.500], [0.000, 0.000, 0.000]]}

3.
{"formula": "Mg6MnC", "functional": "PBE-GGA", "state": "optimized geometry", "e_above_lowest_polymorph_kcal_per_mol_atoms": 9.97, "spacegroup": "No. 38", "magmom_total_mub_per_cell": 3.7, "lattice_angstrom": [[2.960, 3.012, -4.268], [-5.954, 0.682, 0.374], [0.593, 3.572, 2.932]], "species": ["Mg", "Mg", "Mg", "Mg", "Mg", "Mg", "Mn", "C"], "frac_coords": [[0.664, 0.836, 0.000], [0.164, 0.336, 0.000], [0.847, 0.668, 0.500], [0.332, 0.153, 0.500], [0.828, 0.172, 0.500], [0.324, 0.676, 0.500], [0.667, 0.333, 0.000], [0.174, 0.826, 0.000]]}

4.
{"formula": "Mg6MnC", "functional": "PBE-GGA", "state": "optimized geometry", "e_above_lowest_polymorph_kcal_per_mol_atoms": 0.00, "magmom_total_mub_per_cell": 2.8, "lattice_angstrom": [[-0.386, 2.536, 1.653], [-0.625, -5.315, 8.008], [10.307, 0.729, 1.288]], "species": ["Mg", "Mg", "Mg", "Mg", "Mg", "Mg", "Mg", "Mg", "Mg", "Mg", "Mg", "Mg", "Mn", "Mn", "C", "C"], "frac_coords": [[0.000, 0.662, 0.123], [0.000, 0.338, 0.123], [0.000, 0.500, 0.843], [0.500, 0.771, 0.881], [0.500, 0.229, 0.881], [0.500, 0.500, 0.580], [0.000, 0.162, 0.623], [0.000, 0.838, 0.623], [0.000, 0.000, 0.343], [0.500, 0.271, 0.381], [0.500, 0.729, 0.381], [0.500, 0.000, 0.080], [0.000, 0.500, 0.336], [0.000, 0.000, 0.836], [0.500, 0.500, 0.234], [0.500, 0.000, 0.734]]}